Density functional theory data (PBE) for crystalline NaSbS2 at its relaxed geometry.

Lattice parameters (Å, degrees): 5.8828 5.8828 6.9086 67.04 67.04 91.06
Last column: nearest neighbours and their distance in Å.
Fractional coordinates of all 8 atoms:
Na 0.3662 0.6338 0.2500  6 S 2.93-2.99
Na 0.6338 0.3662 0.7500  6 S 2.93-2.99
S 0.1305 0.3145 0.7638  1 Sb 2.48
S 0.6855 0.8695 0.7362  1 Sb 2.48
S 0.3145 0.1305 0.2638  1 Sb 2.48
S 0.8695 0.6855 0.2362  1 Sb 2.48
Sb 0.9004 0.0996 0.2500  2 S 2.48
Sb 0.0996 0.9004 0.7500  2 S 2.48

Summary:
Mass density, g cm⁻³: 3.5
SG: C2/c, No. 15
E_form, eV/atom: -0.93
E (MP2020), eV for the cell shown: -34.888
Energy, eV/atom: -4.11